(1)
The following is a PBE-GGA calculation of a geometry-optimized BaTh structure, from Materials Project.

The structure in POSCAR format:
```
BaTh
1.0
3.776 0.000 0.000
-1.888 3.270 0.000
0.000 0.000 6.510
Ba Th
1 1
Cartesian
0.000 0.000 0.000
1.888 1.090 3.255
```

## Properties
The value obtained for the density is 7.63 Mg/m³. Its space-group type is No. 187. The total moment is 0.00 μB/cell. The value obtained for the formation energy is 444 meV/atom.

***

(2)
The following is a PBE-GGA calculation of a geometry-optimized HgI2 structure, from Materials Project.

The structure in POSCAR format:
```
HgI2
1.0
-6.631 6.631 12.933
6.631 -6.631 12.933
6.631 6.631 -12.933
Hg I
16 32
Cartesian
8.192 4.968 -8.105
1.653 1.754 -1.638
8.192 -1.662 8.105
4.978 1.754 1.638
4.978 -1.754 11.294
8.192 1.662 4.828
8.284 4.876 1.638
1.561 1.662 8.105
5.070 4.968 4.828
-1.653 1.754 11.294
-1.561 4.968 8.105
1.653 8.385 1.638
1.653 4.876 11.294
-1.561 8.293 4.828
4.978 4.876 14.571
-1.561 1.662 21.037
6.631 3.315 -6.365
3.315 0.065 0.000
9.900 3.239 -3.243
6.555 -0.046 3.223
6.555 6.677 -9.709
3.361 3.391 -3.243
6.631 3.315 -0.102
3.250 0.000 6.466
9.881 0.000 6.466
0.000 3.315 0.102
9.992 3.239 3.243
6.555 6.585 -3.223
6.555 0.046 9.709
3.269 3.391 3.243
3.315 -0.065 12.933
0.000 3.315 6.365
6.631 3.315 6.568
3.315 6.696 0.000
3.361 3.239 9.690
0.076 6.585 3.223
0.076 0.046 16.156
-3.361 3.391 9.690
6.631 3.315 12.831
-3.250 6.631 6.466
3.381 6.631 6.466
0.000 3.315 13.034
3.269 3.239 16.176
0.076 -0.046 22.642
0.076 6.677 9.709
-3.269 3.391 16.176
3.315 6.565 12.933
0.000 3.315 19.297
```

## Properties
The value obtained for the density is 5.31 Mg/m³. Its space-group type is No. 142. The value obtained for the formation energy is -567 meV/atom. The value obtained for the energy with MP2020 corrections is -1.684 eV per atom.

***

no.,volume (Å³/atom)
1,40.2
2,47.4